Entry 1:
The following is a GGA-PBE calculation of a relaxed LaIn2Cl5 crystal, from Materials Project.

Geometry as POSCAR:
```
LaIn2Cl5
1.0
8.203 0.000 0.000
0.000 9.002 0.000
0.000 0.000 13.040
In Cl La
8 20 4
Cartesian
0.402 4.556 2.229 In
7.801 0.055 10.811 In
7.801 4.446 10.811 In
3.700 8.947 8.749 In
0.402 8.947 2.229 In
3.700 4.556 8.749 In
4.503 4.446 4.291 In
4.503 0.055 4.291 In
7.172 2.251 4.158 Cl
4.716 6.752 6.612 Cl
2.755 4.885 12.032 Cl
1.346 8.618 5.512 Cl
2.752 2.251 2.686 Cl
1.350 2.251 9.206 Cl
1.032 6.752 8.882 Cl
3.070 6.752 2.362 Cl
5.448 4.117 1.008 Cl
5.133 2.251 10.678 Cl
1.346 4.885 5.512 Cl
6.853 6.752 3.834 Cl
7.589 6.752 0.092 Cl
2.755 8.618 12.032 Cl
0.614 2.251 12.948 Cl
5.448 0.384 1.008 Cl
6.857 0.384 7.528 Cl
3.487 2.251 6.428 Cl
5.451 6.752 10.354 Cl
6.857 4.117 7.528 Cl
7.583 6.752 6.599 La
4.722 6.752 0.079 La
0.621 2.251 6.441 La
3.481 2.251 12.961 La
```

Values from the calculation:
For the density, the calculation gives 3.76 g/cm3. As for the space-group type: Pnma.

=====

Entry 2:
The following is a GGA-PBE calculation of a relaxed Sn4P3NO12 crystal, from Materials Project.

Geometry as POSCAR:
```
Sn4P3NO12
1.0
4.953 -8.578 0.000
4.953 8.578 0.000
0.000 0.000 8.227
O P Sn N
24 6 8 2
Cartesian
3.826 4.200 5.018 O
4.113 -6.174 5.337 O
2.523 -0.795 0.239 O
5.550 -1.214 0.905 O
5.526 5.995 4.352 O
3.229 -3.165 0.905 O
7.403 0.475 1.224 O
4.355 1.214 5.018 O
3.378 5.676 3.024 O
2.502 -0.475 5.337 O
1.662 1.930 1.224 O
1.950 1.788 4.352 O
8.243 -1.930 5.337 O
5.793 6.174 1.224 O
6.528 -5.676 7.137 O
3.301 0.087 3.024 O
6.677 3.165 5.018 O
6.079 -4.200 0.905 O
7.382 0.795 4.352 O
4.380 -5.995 0.239 O
6.605 -0.087 7.137 O
1.726 -2.815 7.137 O
7.955 -1.788 0.239 O
8.179 2.815 3.024 O
7.828 2.257 4.435 P
4.037 5.651 4.435 P
2.993 0.671 4.435 P
6.912 -0.671 0.322 P
5.869 -5.651 0.322 P
2.077 -2.257 0.322 P
4.953 -2.859 2.088 Sn
3.957 5.126 1.054 Sn
6.418 -0.864 5.167 Sn
4.953 2.859 6.202 Sn
3.487 0.864 1.054 Sn
5.948 -5.126 5.167 Sn
7.413 2.588 1.054 Sn
2.492 -2.588 5.167 Sn
0.000 0.000 2.705 N
0.000 0.000 6.818 N
```

Values from the calculation:
For the density, the calculation gives 3.68 g/cm3. As for the space-group type: P6_3.

=====

Entry 3:
The following is a GGA-PBE calculation of a relaxed CuAg2O2 crystal, from Materials Project.

Geometry as POSCAR:
```
CuAg2O2
1.0
0.215 -5.485 -1.567
-4.219 -3.725 0.956
1.892 4.831 -2.381
Ag O Cu
2 2 1
Cartesian
-2.599 -5.980 -0.397 Ag
-1.404 -3.231 -0.214 Ag
-1.684 -0.645 -0.792 O
-0.427 -3.734 -2.200 O
0.000 0.000 0.000 Cu
```

Values from the calculation:
For the density, the calculation gives 7.72 g/cm3. As for the space-group type: Immm.

=====

Entry 4:
The following is a GGA-PBE calculation of a relaxed Cr2PbN4 crystal, from Materials Project.

Geometry as POSCAR:
```
Cr2PbN4
1.0
10.600 0.000 0.000
0.000 10.600 0.000
0.000 0.000 10.600
N Pb Cr
48 12 24
Cartesian
6.755 1.591 7.559 N
3.041 1.455 3.709 N
1.455 1.591 8.341 N
7.559 6.755 1.591 N
7.600 10.338 9.626 N
0.974 3.000 0.261 N
6.755 3.709 2.259 N
1.591 8.341 1.455 N
3.041 3.845 9.009 N
6.274 3.000 5.038 N
6.891 8.341 3.845 N
4.326 8.300 0.261 N
2.300 5.561 0.974 N
5.561 4.326 7.600 N
10.338 9.626 7.600 N
5.038 9.626 8.300 N
8.341 1.455 1.591 N
1.591 7.559 6.755 N
3.000 5.038 6.274 N
8.300 5.038 9.626 N
9.009 3.041 3.845 N
7.559 9.145 6.891 N
0.974 2.300 5.561 N
1.455 3.709 3.041 N
3.845 6.891 8.341 N
9.626 7.600 10.338 N
8.300 0.261 4.326 N
3.709 3.041 1.455 N
10.338 6.274 2.300 N
2.300 10.338 6.274 N
0.261 4.326 8.300 N
5.561 0.974 2.300 N
3.709 2.259 6.755 N
2.259 6.755 3.709 N
2.259 9.145 9.009 N
7.600 5.561 4.326 N
3.845 9.009 3.041 N
0.261 0.974 3.000 N
6.891 7.559 9.145 N
5.038 6.274 3.000 N
9.009 2.259 9.145 N
9.145 6.891 7.559 N
6.274 2.300 10.338 N
9.626 8.300 5.038 N
3.000 0.261 0.974 N
8.341 3.845 6.891 N
9.145 9.009 2.259 N
4.326 7.600 5.561 N
9.314 1.286 6.586 Pb
6.586 6.586 6.586 Pb
1.286 6.586 9.314 Pb
9.314 4.014 1.286 Pb
0.000 5.300 5.300 Pb
4.014 1.286 9.314 Pb
5.300 5.300 0.000 Pb
6.586 9.314 1.286 Pb
0.000 0.000 0.000 Pb
1.286 9.314 4.014 Pb
5.300 0.000 5.300 Pb
4.014 4.014 4.014 Pb
7.404 1.448 9.206 Cr
1.448 6.694 2.104 Cr
3.906 8.495 9.152 Cr
8.495 6.748 9.206 Cr
1.394 3.196 9.152 Cr
6.748 6.694 3.196 Cr
1.448 9.206 7.404 Cr
8.495 9.152 3.906 Cr
2.104 3.852 1.394 Cr
1.394 2.104 3.852 Cr
6.694 2.104 1.448 Cr
6.748 9.206 8.495 Cr
9.152 1.394 3.196 Cr
9.206 7.404 1.448 Cr
9.206 8.495 6.748 Cr
3.196 9.152 1.394 Cr
3.852 3.906 7.404 Cr
2.104 1.448 6.694 Cr
7.404 3.852 3.906 Cr
6.694 3.196 6.748 Cr
3.852 1.394 2.104 Cr
3.906 7.404 3.852 Cr
9.152 3.906 8.495 Cr
3.196 6.748 6.694 Cr
```

Values from the calculation:
For the density, the calculation gives 6.14 g/cm3. As for the space-group type: Pa-3.

=====

Entry 5:
The following is a GGA-PBE calculation of a relaxed TiP crystal, from Materials Project.

Geometry as POSCAR:
```
TiP
1.0
2.117 -3.667 0.000
2.117 3.667 0.000
0.000 0.000 4.871
Ti P
2 2
Cartesian
2.117 1.222 1.218 Ti
2.117 -1.222 3.653 Ti
2.117 1.222 3.653 P
2.117 -1.222 1.218 P
```

Values from the calculation:
For the density, the calculation gives 3.46 g/cm3. As for the space-group type: P6_3/mmc.

=====

Entry 6:
The following is a GGA-PBE calculation of a relaxed YH3O3 crystal, from Materials Project.

Geometry as POSCAR:
```
YH3O3
1.0
3.484 0.000 0.000
0.000 6.367 0.000
0.000 3.066 5.689
H Y O
6 2 6
Cartesian
0.000 3.006 3.934 H
0.000 5.042 0.735 H
0.000 1.265 0.798 H
1.742 4.319 4.924 H
1.742 6.376 1.739 H
1.742 8.031 4.900 H
0.000 6.208 3.821 Y
1.742 3.158 1.835 Y
0.000 3.785 3.351 O
0.000 4.107 0.468 O
1.742 5.583 2.305 O
0.000 1.502 1.742 O
1.742 5.253 5.195 O
1.742 7.853 3.943 O
```

Values from the calculation:
For the density, the calculation gives 3.68 g/cm3. For the energy above the most stable polymorph in this dataset, the calculation gives 0.14 kcal/mol of atoms. As for the space-group type: Pm.

=====

Number 1: energy relative to the elements -2005 meV per atom. Number 2: energy relative to the elements -1866 meV per atom. Number 3: energy relative to the elements -502 meV per atom. Number 4: energy relative to the elements -188 meV per atom. Number 5: energy relative to the elements -901 meV per atom. Number 6: energy relative to the elements -2224 meV per atom.